First-principles (GGA+U) data for a relaxed structure of Li4Mn5Cu2O12, as listed in the Materials Project database.

The structure in POSCAR format:
```
Li4Mn5Cu2O12
1.0
8.8065 0.0000 0.0000
0.0000 5.3536 0.0000
0.0000 1.2617 9.6765
Cu O Li Mn
4 24 8 10
Direct
0.2524 0.2468 0.0051
0.2380 0.7561 0.4931
0.7380 0.2439 0.5069
0.7524 0.7532 0.9949
0.3978 0.6023 0.3915
0.5843 0.5986 0.8883
0.7623 0.8238 0.6289
0.0786 0.6161 0.3892
0.2436 0.6788 0.8608
0.7622 0.6644 0.3636
0.8978 0.3977 0.6085
0.6007 0.8782 0.1297
0.4235 0.0945 0.9069
0.5786 0.3839 0.6108
0.9235 0.9055 0.0931
0.7436 0.3212 0.1392
0.5759 0.1411 0.3908
0.8892 0.0956 0.3968
0.0843 0.4014 0.1117
0.7659 0.1849 0.8700
0.2659 0.8151 0.1300
0.1007 0.1218 0.8703
0.9187 0.6047 0.8848
0.3892 0.9044 0.6032
0.2623 0.1762 0.3711
0.4187 0.3953 0.1152
0.0759 0.8589 0.6092
0.2622 0.3356 0.6364
0.5788 0.7603 0.5063
0.5939 0.4913 0.2637
0.0939 0.5087 0.7363
0.9029 0.0125 0.7380
0.4029 0.9875 0.2620
0.0788 0.2397 0.4937
0.4151 0.5229 0.7389
0.9151 0.4771 0.2611
0.4259 0.7358 0.0038
0.7448 0.5078 0.7449
0.9259 0.2642 0.9962
0.5885 0.2317 0.0072
0.2448 0.4922 0.2551
0.7540 0.9913 0.2551
0.9160 0.7427 0.4977
0.0885 0.7683 0.9928
0.4160 0.2573 0.5023
0.2540 0.0087 0.7449
```

As for the energy: -293.9 eV/cell. The calculation puts the total magnetization at 38.5 μB/cell. Its space group is P2_1 (4).

***

First-principles (GGA+U) data for a relaxed structure of Li2MnCuO4, as listed in the Materials Project database.

The structure in POSCAR format:
```
Li2MnCuO4
1.0
-0.8555 -2.0201 3.5036
0.4732 7.5056 2.0038
-4.9494 -1.0122 0.6466
Li O Cu Mn
4 8 2 2
Direct
0.2507 0.3762 0.8747
0.4999 0.7478 0.7480
0.2514 0.8748 0.3720
0.4990 0.2517 0.2537
0.2309 0.6152 0.1536
0.2324 0.1164 0.6516
0.7661 0.3837 0.8516
0.7714 0.8849 0.3421
0.5150 0.5080 0.4780
0.9831 0.2560 0.2897
0.9834 0.7272 0.7604
0.5161 0.0073 0.9752
0.7505 0.1266 0.6256
0.7496 0.6236 0.1243
0.0017 0.0009 0.9975
0.9988 0.4996 0.5020
```

The offset from the most stable computed form comes out at 0.011 eV per atom. The calculation puts the total magnetization at 0.4 μB/cell. Its space group is Cm (8).

***

First-principles (GGA+U) data for a relaxed structure of Li3MnCu2O6, as listed in the Materials Project database.

The structure in POSCAR format:
```
Li3MnCu2O6
1.0
1.4417 6.5359 0.0000
-1.4417 6.5359 0.0000
0.0000 1.2587 5.7198
O Li Cu Mn
6 3 2 1
Direct
0.0071 0.0071 0.2177
0.6654 0.6654 0.4278
0.6539 0.6539 0.9082
0.3461 0.3461 0.0918
0.3346 0.3346 0.5722
0.9929 0.9929 0.7823
0.5000 0.5000 0.5000
0.1699 0.1699 0.1672
0.8301 0.8301 0.8328
0.8292 0.8292 0.3421
0.1708 0.1708 0.6579
0.5000 0.5000 0.0000
```

As for the energy: -66.7 eV/cell. The calculation puts the total magnetization at 6.0 μB/cell. Its space group is C2/m (12).

***

First-principles (GGA+U) data for a relaxed structure of Li4MnCu3P4O16, as listed in the Materials Project database.

The structure in POSCAR format:
```
Li4MnCu3P4O16
1.0
6.1586 0.0000 0.0000
0.0000 4.7684 0.0000
0.0000 0.1619 10.0755
P O Li Cu Mn
4 16 4 3 1
Direct
0.5000 0.0830 0.5948
0.0000 0.5784 0.9103
0.0000 0.9150 0.3988
0.5000 0.4248 0.0959
0.0000 0.2401 0.3938
0.2029 0.7821 0.3311
0.5000 0.7582 0.6070
0.2966 0.2198 0.6593
0.0000 0.6940 0.0549
0.5000 0.3200 0.9489
0.7017 0.2849 0.1632
0.0000 0.2581 0.9066
0.2983 0.2849 0.1632
0.7034 0.2198 0.6593
0.0000 0.7953 0.5439
0.8009 0.7199 0.8383
0.7971 0.7821 0.3311
0.5000 0.7494 0.1029
0.5000 0.1860 0.4461
0.1991 0.7199 0.8383
0.7514 0.4989 0.4958
0.2501 0.0023 0.0070
0.7499 0.0023 0.0070
0.2486 0.4989 0.4958
0.0000 0.4470 0.2141
0.5000 0.5581 0.7877
0.5000 0.9468 0.2866
0.0000 0.0298 0.7186
```

As for the energy: -181.4 eV/cell. The calculation puts the total magnetization at 7.9 μB/cell. Its space group is Pm (6).